1.
! CeGePt (meta-GGA r2SCAN, optimized geometry); values from VASP
&SYSTEM
  ibrav = 0, nat = 24, ntyp = 3
/
ATOMIC_SPECIES
Ce 140.12 Ce.upf
Ge 72.64 Ge.upf
Pt 195.08 Pt.upf
CELL_PARAMETERS angstrom
4.4606 0.0000 0.0000
0.0000 14.7127 0.0000
0.0000 0.0000 7.5985
ATOMIC_POSITIONS angstrom
Ce 1.1152 0.0517 1.6367
Ce 1.1152 3.6782 2.2557
Ce 1.1152 7.3047 1.6367
Ce 1.1152 11.0345 2.2124
Ce 3.3455 3.6782 5.3861
Ce 3.3455 7.4080 5.9618
Ce 3.3455 11.0345 5.3428
Ce 3.3455 14.6610 5.9618
Ge 1.1152 1.5200 4.4869
Ge 1.1152 5.8364 4.4869
Ge 1.1152 9.6515 6.9349
Ge 1.1152 12.4176 6.9349
Ge 3.3455 2.2951 0.6636
Ge 3.3455 5.0612 0.6636
Ge 3.3455 8.8763 3.1116
Ge 3.3455 13.1927 3.1116
Pt 1.1152 2.0543 7.0125
Pt 1.1152 5.3021 7.0125
Pt 1.1152 8.9016 4.4189
Pt 1.1152 13.1675 4.4189
Pt 3.3455 1.5452 3.1796
Pt 3.3455 5.8111 3.1796
Pt 3.3455 9.4106 0.5860
Pt 3.3455 12.6584 0.5860
! Energy of formation from the pure elements   -1.1828 eV/atom

***

2.
! Ce2SiGe (meta-GGA r2SCAN, optimized geometry); values from VASP
&SYSTEM
  ibrav = 0, nat = 8, ntyp = 3
/
ATOMIC_SPECIES
Ce 140.12 Ce.upf
Si 28.09 Si.upf
Ge 72.64 Ge.upf
CELL_PARAMETERS angstrom
4.0250 0.0000 0.0000
0.0000 5.9668 0.0000
0.0000 0.0000 8.3353
ATOMIC_POSITIONS angstrom
Ce 0.0000 0.7880 0.0000
Ce 0.0000 5.1788 4.1676
Ce 2.0125 2.1791 5.3121
Ce 2.0125 3.7878 1.1445
Si 2.0125 0.7422 2.3632
Si 2.0125 5.2247 6.5308
Ge 0.0000 2.2263 2.9277
Ge 0.0000 3.7405 7.0953
! Energy of formation from the pure elements   -0.7954 eV/atom

***

3.
! YTmMg2 (meta-GGA r2SCAN, optimized geometry); values from VASP
&SYSTEM
  ibrav = 0, nat = 16, ntyp = 3
/
ATOMIC_SPECIES
Y 88.91 Y.upf
Tm 168.93 Tm.upf
Mg 24.30 Mg.upf
CELL_PARAMETERS angstrom
7.5555 0.0000 0.0000
0.0000 7.5555 0.0000
0.0000 0.0000 7.5555
ATOMIC_POSITIONS angstrom
Y 0.0000 0.0000 0.0000
Y 0.0000 3.7777 3.7777
Y 3.7777 0.0000 3.7777
Y 3.7777 3.7777 0.0000
Tm 0.0000 0.0000 3.7777
Tm 0.0000 3.7777 0.0000
Tm 3.7777 0.0000 0.0000
Tm 3.7777 3.7777 3.7777
Mg 1.8889 1.8889 1.8889
Mg 1.8889 1.8889 5.6666
Mg 1.8889 5.6666 1.8889
Mg 1.8889 5.6666 5.6666
Mg 5.6666 1.8889 1.8889
Mg 5.6666 1.8889 5.6666
Mg 5.6666 5.6666 1.8889
Mg 5.6666 5.6666 5.6666
! Energy of formation from the pure elements   -0.0885 eV/atom

***

4.
! LiCa3 (meta-GGA r2SCAN, optimized geometry); values from VASP
&SYSTEM
  ibrav = 0, nat = 8, ntyp = 2
/
ATOMIC_SPECIES
Li 6.94 Li.upf
Ca 40.08 Ca.upf
CELL_PARAMETERS angstrom
7.5849 0.0000 0.0000
-3.7925 6.5687 0.0000
0.0000 0.0000 6.2129
ATOMIC_POSITIONS angstrom
Li 0.0000 4.3792 1.5532
Li 3.7925 2.1896 4.6596
Ca 0.0000 2.2212 4.6596
Ca -1.8689 5.4582 4.6596
Ca 1.9236 1.1106 1.5532
Ca 1.8689 5.4582 4.6596
Ca 5.6614 1.1106 1.5532
Ca 3.7925 4.3476 1.5532
! Energy of formation from the pure elements   0.0679 eV/atom

***

Number 1: energy -33.250 eV per atom. Number 2: energy -21.877 eV per atom. Number 3: energy -16.032 eV per atom. Number 4: energy -5.808 eV per atom.